# 1
# Rb3Tl, optimized geometry, DFT PBE-GGA
# DFT total energy ... -5.1 eV per formula unit
# Space-group type ... I4/mmm
data_Rb3Tl
_chemical_formula_sum 'Rb3 Tl1'
_cell_length_a 7.6845
_cell_length_b 7.6845
_cell_length_c 7.6845
_cell_angle_alpha 132.33
_cell_angle_beta 132.33
_cell_angle_gamma 69.71
_symmetry_space_group_name_H-M 'P 1'
_symmetry_Int_Tables_number 1
loop_
_symmetry_equiv_pos_as_xyz
'x,y,z'
loop_
_atom_site_label
_atom_site_type_symbol
_atom_site_fract_x
_atom_site_fract_y
_atom_site_fract_z
Rb1 Rb 0.0000 0.0000 0.0000
Rb2 Rb 0.2500 0.7500 0.5000
Rb3 Rb 0.7500 0.2500 0.5000
Tl1 Tl 0.5000 0.5000 0.0000

***

# 2
# K2LiRhF6, optimized geometry, DFT PBE-GGA
# DFT total energy ... -46.9 eV per formula unit
# Space-group type ... Fm-3m
data_K2LiRhF6
_chemical_formula_sum 'K2 Li1 Rh1 F6'
_cell_length_a 5.8005
_cell_length_b 5.8005
_cell_length_c 5.8005
_cell_angle_alpha 60.00
_cell_angle_beta 60.00
_cell_angle_gamma 60.00
_symmetry_space_group_name_H-M 'P 1'
_symmetry_Int_Tables_number 1
loop_
_symmetry_equiv_pos_as_xyz
'x,y,z'
loop_
_atom_site_label
_atom_site_type_symbol
_atom_site_fract_x
_atom_site_fract_y
_atom_site_fract_z
K1 K 0.2500 0.2500 0.2500
K2 K 0.7500 0.7500 0.7500
Li1 Li 0.0000 0.0000 0.0000
Rh1 Rh 0.5000 0.5000 0.5000
F1 F 0.2540 0.2540 0.7460
F2 F 0.2540 0.7460 0.2540
F3 F 0.2540 0.7460 0.7460
F4 F 0.7460 0.2540 0.2540
F5 F 0.7460 0.2540 0.7460
F6 F 0.7460 0.7460 0.2540

***

# 3
# Li3Pr2Sb3, optimized geometry, DFT PBE-GGA
# DFT total energy ... -26.9 eV per formula unit
# Space-group type ... P4/mmm
data_Li3Pr2Sb3
_chemical_formula_sum 'Li3 Pr2 Sb3'
_cell_length_a 3.2267
_cell_length_b 3.2267
_cell_length_c 23.4659
_cell_angle_alpha 90.00
_cell_angle_beta 90.00
_cell_angle_gamma 90.00
_symmetry_space_group_name_H-M 'P 1'
_symmetry_Int_Tables_number 1
loop_
_symmetry_equiv_pos_as_xyz
'x,y,z'
loop_
_atom_site_label
_atom_site_type_symbol
_atom_site_fract_x
_atom_site_fract_y
_atom_site_fract_z
Li1 Li 0.0000 0.0000 0.0000
Li2 Li 0.0000 0.0000 0.3832
Li3 Li 0.0000 0.0000 0.6168
Pr1 Pr 0.0000 0.0000 0.2423
Pr2 Pr 0.0000 0.0000 0.7577
Sb1 Sb 0.0000 0.0000 0.1119
Sb2 Sb 0.0000 0.0000 0.5000
Sb3 Sb 0.0000 0.0000 0.8881

***

# 4
# Rb3Ru2NCl8O2, optimized geometry, DFT PBE-GGA
# DFT total energy ... -68.9 eV per formula unit
# Space-group type ... C2/m
data_Rb3Ru2NCl8O2
_chemical_formula_sum 'Rb3 Ru2 N1 Cl8 O2'
_cell_length_a 8.6746
_cell_length_b 8.6746
_cell_length_c 8.5956
_cell_angle_alpha 115.73
_cell_angle_beta 115.73
_cell_angle_gamma 55.16
_symmetry_space_group_name_H-M 'P 1'
_symmetry_Int_Tables_number 1
loop_
_symmetry_equiv_pos_as_xyz
'x,y,z'
loop_
_atom_site_label
_atom_site_type_symbol
_atom_site_fract_x
_atom_site_fract_y
_atom_site_fract_z
Rb1 Rb 0.0000 0.0000 0.0000
Rb2 Rb 0.3557 0.3557 0.4640
Rb3 Rb 0.6443 0.6443 0.5360
Ru1 Ru 0.3751 0.3751 0.9901
Ru2 Ru 0.6249 0.6249 0.0099
N1 N 0.5000 0.5000 0.0000
Cl1 Cl 0.1099 0.5335 0.7630
Cl2 Cl 0.2265 0.6464 0.2176
Cl3 Cl 0.3536 0.7735 0.7824
Cl4 Cl 0.4665 0.8901 0.2370
Cl5 Cl 0.5335 0.1099 0.7630
Cl6 Cl 0.6464 0.2265 0.2176
Cl7 Cl 0.7735 0.3536 0.7824
Cl8 Cl 0.8901 0.4665 0.2370
O1 O 0.2601 0.2601 0.9808
O2 O 0.7399 0.7399 0.0192

***

# 5
# Pr2Al7Cu, optimized geometry, DFT PBE-GGA
# DFT total energy ... -43.8 eV per formula unit
# Space-group type ... P4mm
data_Pr2Al7Cu
_chemical_formula_sum 'Pr2 Al7 Cu1'
_cell_length_a 4.2745
_cell_length_b 4.2745
_cell_length_c 11.0125
_cell_angle_alpha 90.00
_cell_angle_beta 90.00
_cell_angle_gamma 90.00
_symmetry_space_group_name_H-M 'P 1'
_symmetry_Int_Tables_number 1
loop_
_symmetry_equiv_pos_as_xyz
'x,y,z'
loop_
_atom_site_label
_atom_site_type_symbol
_atom_site_fract_x
_atom_site_fract_y
_atom_site_fract_z
Pr1 Pr 0.0000 0.0000 0.0000
Pr2 Pr 0.5000 0.5000 0.4996
Al1 Al 0.0000 0.0000 0.3856
Al2 Al 0.0000 0.0000 0.6161
Al3 Al 0.0000 0.5000 0.2400
Al4 Al 0.0000 0.5000 0.7563
Al5 Al 0.5000 0.0000 0.2400
Al6 Al 0.5000 0.0000 0.7563
Al7 Al 0.5000 0.5000 0.9041
Cu1 Cu 0.5000 0.5000 0.1226

***

# 6
# Hf8MgN8O4, optimized geometry, DFT PBE-GGA
# Space-group type ... P1
# Relative energy among the computed polymorphs ... 2 meV per atom
data_Hf8MgN8O4
_chemical_formula_sum 'Hf8 Mg1 N8 O4'
_cell_length_a 5.4163
_cell_length_b 5.4395
_cell_length_c 10.4418
_cell_angle_alpha 92.84
_cell_angle_beta 90.06
_cell_angle_gamma 119.07
_symmetry_space_group_name_H-M 'P 1'
_symmetry_Int_Tables_number 1
loop_
_symmetry_equiv_pos_as_xyz
'x,y,z'
loop_
_atom_site_label
_atom_site_type_symbol
_atom_site_fract_x
_atom_site_fract_y
_atom_site_fract_z
Hf1 Hf 0.0000 0.0000 0.0000
Hf2 Hf 0.0011 0.9906 0.6988
Hf3 Hf 0.3450 0.6705 0.7702
Hf4 Hf 0.3561 0.6319 0.4668
Hf5 Hf 0.3725 0.7027 0.1727
Hf6 Hf 0.6310 0.2694 0.5228
Hf7 Hf 0.6456 0.3264 0.9381
Hf8 Hf 0.7121 0.3310 0.2276
Mg1 Mg 0.0172 0.9983 0.3771
N1 N 0.0038 0.2570 0.5601
N2 N 0.2906 0.2844 0.8413
N3 N 0.3008 0.8993 0.6135
N4 N 0.3840 0.0466 0.0799
N5 N 0.4629 0.9844 0.3501
N6 N 0.6928 0.5834 0.3846
N7 N 0.6982 0.6503 0.0975
N8 N 0.7013 0.9911 0.8507
O1 O 0.0022 0.3664 0.0691
O2 O 0.1058 0.3815 0.3034
O3 O 0.6091 0.6107 0.6331
O4 O 0.9925 0.6791 0.8504

***

# 7
# NaCaZrNbO6, optimized geometry, DFT PBE-GGA
# DFT total energy ... -79.2 eV per formula unit
# Space-group type ... F-43m
data_NaCaZrNbO6
_chemical_formula_sum 'Na1 Ca1 Zr1 Nb1 O6'
_cell_length_a 5.7843
_cell_length_b 5.7843
_cell_length_c 5.7843
_cell_angle_alpha 60.00
_cell_angle_beta 60.00
_cell_angle_gamma 60.00
_symmetry_space_group_name_H-M 'P 1'
_symmetry_Int_Tables_number 1
loop_
_symmetry_equiv_pos_as_xyz
'x,y,z'
loop_
_atom_site_label
_atom_site_type_symbol
_atom_site_fract_x
_atom_site_fract_y
_atom_site_fract_z
Na1 Na 0.0000 0.0000 0.0000
Ca1 Ca 0.5000 0.5000 0.5000
Zr1 Zr 0.2500 0.2500 0.2500
Nb1 Nb 0.7500 0.7500 0.7500
O1 O 0.5055 0.5055 0.9945
O2 O 0.5055 0.9945 0.5055
O3 O 0.5055 0.9945 0.9945
O4 O 0.9945 0.5055 0.5055
O5 O 0.9945 0.5055 0.9945
O6 O 0.9945 0.9945 0.5055

***

# 8
# Fe3Si2Ni3, optimized geometry, DFT PBE-GGA
# DFT total energy ... -56.2 eV per formula unit
# Space-group type ... Pmmm
data_Fe3Si2Ni3
_chemical_formula_sum 'Fe3 Si2 Ni3'
_cell_length_a 3.4612
_cell_length_b 3.6246
_cell_length_c 7.0498
_cell_angle_alpha 90.00
_cell_angle_beta 90.00
_cell_angle_gamma 90.00
_symmetry_space_group_name_H-M 'P 1'
_symmetry_Int_Tables_number 1
loop_
_symmetry_equiv_pos_as_xyz
'x,y,z'
loop_
_atom_site_label
_atom_site_type_symbol
_atom_site_fract_x
_atom_site_fract_y
_atom_site_fract_z
Fe1 Fe 0.0000 0.0000 0.0000
Fe2 Fe 0.5000 0.0000 0.2468
Fe3 Fe 0.5000 0.0000 0.7532
Si1 Si 0.0000 0.5000 0.2529
Si2 Si 0.0000 0.5000 0.7471
Ni1 Ni 0.0000 0.0000 0.5000
Ni2 Ni 0.5000 0.5000 0.0000
Ni3 Ni 0.5000 0.5000 0.5000